First-principles (GGA-PBE) data for crystalline GdGa at its relaxed geometry, as listed in the Materials Project.

Cell: 4.360 11.082 4.143 Å, 90.00 90.00 90.00°
Space group Cmcm (No. 63)
Inequivalent atoms, fractional coordinates:
Gd  0.000  0.141  0.250 (multiplicity 4)
Ga  0.000  0.427  0.250 (multiplicity 4)

Output
As for the raw total energy: -18.37 eV/f.u. As for the theoretical density: 7532 kg/m3. As for the energy of formation from the pure elements: -1.26 eV per formula unit.